## one
First-principles (PBE with a Hubbard U) data for a relaxed structure of SrCa7Ti2Mn6O21, as listed in the Materials Project database.

Structure (POSCAR):
```
SrCa7Ti2Mn6O21
1.0
7.879 -0.035 0.044
-0.035 7.746 0.005
0.043 0.004 7.850
Mn Ca O Sr Ti
6 7 21 1 2
Cartesian
7.864 3.850 4.025
3.993 3.918 3.945
7.706 3.873 0.160
3.904 3.879 7.751
0.032 7.730 4.015
4.063 -0.007 3.764
5.949 5.750 5.582
5.903 1.823 5.756
6.054 2.071 2.247
2.093 5.652 5.492
2.244 2.042 5.565
1.747 5.556 1.946
5.653 5.768 2.023
7.497 6.083 0.778
2.054 0.279 4.006
3.670 1.965 7.464
0.391 5.835 3.919
4.004 4.282 5.844
7.662 3.973 6.031
3.969 5.768 0.364
6.017 7.400 3.727
0.125 3.761 2.063
1.928 7.529 0.069
4.589 0.335 1.579
7.642 1.872 4.102
1.893 4.010 0.123
7.632 1.447 0.690
5.698 3.664 0.485
4.458 7.549 6.069
7.476 7.603 6.101
4.267 1.969 4.022
2.095 3.656 3.935
5.845 4.156 3.741
3.639 5.802 3.470
1.896 2.010 1.919
3.848 7.672 7.817
0.143 7.644 7.759
```

- magnetic moment (μB/f.u.) = 24.0
- V (Å³ per cell) = 479.1

## two
First-principles (PBE with a Hubbard U) data for a relaxed structure of SrCa7Ti2Mn6O21, as listed in the Materials Project database.

Structure (POSCAR):
```
SrCa7Ti2Mn6O21
1.0
-2.894 0.932 10.678
6.902 -13.721 2.925
9.568 5.272 1.903
Mn Ca O Sr Ti
24 28 84 4 8
Cartesian
1.354 -6.204 9.532
7.630 -3.900 4.882
9.388 -10.388 11.750
2.901 -6.897 4.257
14.154 -7.757 12.738
7.814 -1.970 13.565
7.717 -8.912 2.721
2.826 -1.680 6.750
12.512 -4.248 12.157
4.396 -0.065 9.552
6.258 -8.461 8.096
12.329 -6.295 3.628
10.830 -5.831 8.941
5.854 -5.544 2.004
4.291 -4.979 7.343
9.197 -2.495 8.207
7.430 -11.938 8.634
13.801 -4.846 6.846
-0.351 -2.691 8.758
7.429 1.035 7.635
7.801 -6.883 11.173
6.176 -3.506 10.363
9.154 -7.348 5.776
12.337 -9.397 9.642
13.731 -6.088 9.928
9.332 -3.850 11.523
4.787 -1.760 12.297
3.852 1.427 6.986
12.060 -2.938 9.367
7.161 2.526 4.163
10.948 -7.301 11.640
8.692 4.061 8.000
4.528 -6.442 10.650
-0.017 -4.480 11.504
6.138 -9.780 10.925
4.261 -8.469 1.975
-1.884 -0.596 10.826
10.590 -4.482 6.097
2.983 -3.349 9.773
6.310 -4.923 13.403
6.202 -2.002 7.400
6.164 -6.907 4.826
5.874 2.964 10.025
8.074 -8.276 13.810
9.338 -1.377 5.181
12.758 -5.808 14.654
7.704 -5.439 8.513
0.908 0.422 8.924
7.844 -0.628 10.420
9.249 -8.733 8.791
12.254 -7.675 6.341
8.033 -10.385 5.625
10.739 -7.346 4.522
5.660 0.217 8.014
6.411 4.517 8.415
4.021 -5.923 5.724
2.705 -5.468 8.292
7.370 -7.316 7.035
4.933 -1.938 9.848
6.373 -4.836 3.757
11.401 -2.566 4.818
3.029 1.852 2.616
7.900 1.921 9.382
3.076 -0.317 11.148
5.657 0.721 11.422
0.123 0.286 4.276
9.746 -4.312 8.471
10.290 -6.659 7.176
12.391 -4.941 8.180
3.759 -0.416 5.422
5.747 -12.487 9.446
7.369 -5.002 10.879
6.513 -7.426 2.357
8.305 -3.887 13.722
10.540 -9.228 13.349
7.466 -2.862 9.056
8.807 0.774 4.174
8.428 -3.137 6.435
8.218 -8.834 11.443
-1.044 -0.811 8.500
5.350 -4.710 8.890
2.573 -7.674 9.843
4.157 -3.156 6.625
4.174 -9.028 11.878
8.814 -10.475 3.322
13.549 -7.836 4.269
7.027 -2.337 11.738
6.528 -7.476 9.765
4.319 -1.659 2.973
9.274 -6.741 9.850
7.932 -8.358 4.575
0.981 -1.928 10.058
3.860 1.847 9.369
2.896 -0.493 8.167
5.764 0.792 3.575
5.035 2.915 5.232
8.889 -3.118 3.571
6.494 -1.899 4.951
8.591 -5.540 5.080
14.421 -8.930 6.797
9.981 -9.349 6.615
8.047 2.345 1.925
1.564 2.057 7.359
10.562 -9.832 10.380
0.753 -2.004 2.405
12.990 -6.208 12.359
0.209 0.390 11.425
2.288 -2.751 12.216
10.256 -0.940 2.812
1.260 2.754 10.330
7.383 -10.067 7.885
5.698 -11.781 12.369
5.452 -11.482 5.797
9.592 -1.547 12.767
4.464 -8.342 4.366
9.940 -1.895 10.006
2.280 -5.162 10.970
11.937 -7.447 9.305
6.365 -7.068 12.447
3.942 -6.004 2.827
4.655 -9.264 8.777
1.586 -4.319 4.138
1.081 -2.329 6.933
12.734 -5.525 5.369
8.487 -0.688 7.728
6.066 5.533 11.366
7.522 -12.824 4.325
9.063 -6.417 12.614
4.774 -4.090 11.657
7.897 2.408 12.450
9.772 0.690 11.018
8.348 2.389 6.373
11.029 -4.455 13.505
11.366 -4.929 10.653
12.376 -10.193 5.283
11.003 -1.999 7.427
3.063 2.043 11.815
2.287 -0.337 3.224
4.135 -3.909 4.139
10.637 0.402 8.458
11.096 -10.761 6.456
6.169 -13.141 5.548
5.232 -0.757 4.301
6.417 1.495 12.912
11.246 -8.671 14.902
9.803 1.876 5.297
1.550 -1.126 11.646
6.470 -11.337 13.940
```

- magnetic moment (μB/f.u.) = 24.0
- V (Å³ per cell) = 1924.4

Short version: two is the most stable of them.